# PBE LaPO4, relaxed
# ΔH_f (0 K): -20.82 eV/f.u.
# size of the total moment: 0.0 μB per cell
# E (MP2020): -8.494 eV/atom
data_LaPO4
_chemical_formula_sum 'La4 P4 O16'
_symmetry_space_group_name_H-M 'P n m a'
_symmetry_Int_Tables_number 62
_cell_length_a 7.422
_cell_length_b 5.281
_cell_length_c 9.221
_cell_angle_alpha 90.00
_cell_angle_beta 90.00
_cell_angle_gamma 90.00
loop_
_symmetry_equiv_pos_as_xyz
'x,y,z'
'-x,-y,-z'
'-x+1/2,-y,z+1/2'
'x+1/2,y,-z+1/2'
'x+1/2,-y+1/2,-z+1/2'
'-x+1/2,y+1/2,z+1/2'
'-x,y+1/2,-z'
'x,-y+1/2,z'
loop_
_atom_site_label
_atom_site_fract_x
_atom_site_fract_y
_atom_site_fract_z
La1 0.021 0.250 0.193
P1 0.245 0.250 0.580
O1 0.041 0.750 0.084
O2 0.182 0.007 0.658
O3 0.195 0.250 0.417